Record 1
## Cd4NiH20Cl10O10 (GGA+U)

Data for a geometry-optimized Cd4NiH20Cl10O10 structure.

Values from the calculation:
- DFT formation energy: -1.18 eV per atom
- M_tot: 4.0 μB/cell
- Density: 2.75 g/cm3

```
data_Cd4NiH20Cl10O10
_chemical_formula_sum 'Cd8 Ni2 H40 Cl20 O20'
_space_group_name_H-M_alt 'P 1'
_space_group_IT_number 1
_space_group_name_Hall 'P 1'
_cell_length_a 6.728
_cell_length_b 12.047
_cell_length_c 16.464
_cell_angle_alpha 90.00
_cell_angle_beta 109.08
_cell_angle_gamma 90.00
loop_
_atom_site_label
_atom_site_fract_x
_atom_site_fract_y
_atom_site_fract_z
Cd1 0.110 0.025 0.309
Cd2 0.110 0.475 0.809
Cd3 0.306 0.517 0.068
Cd4 0.306 0.983 0.568
Cd5 0.694 0.017 0.432
Cd6 0.694 0.483 0.932
Cd7 0.890 0.525 0.191
Cd8 0.890 0.975 0.691
Ni1 0.500 0.000 0.000
Ni2 0.500 0.500 0.500
H1 0.096 0.744 0.242
H2 0.096 0.756 0.742
H3 0.105 0.607 0.456
H4 0.105 0.893 0.956
H5 0.140 0.233 0.054
H6 0.140 0.267 0.554
H7 0.147 0.216 0.149
H8 0.147 0.284 0.649
H9 0.182 0.124 0.898
H10 0.182 0.376 0.398
H11 0.193 0.577 0.554
H12 0.193 0.923 0.054
H13 0.214 0.658 0.315
H14 0.214 0.842 0.815
H15 0.385 0.199 0.923
H16 0.385 0.301 0.423
H17 0.398 0.111 0.116
H18 0.398 0.389 0.616
H19 0.446 0.515 0.333
H20 0.446 0.985 0.833
H21 0.554 0.015 0.167
H22 0.554 0.485 0.667
H23 0.602 0.611 0.384
H24 0.602 0.889 0.884
H25 0.615 0.699 0.577
H26 0.615 0.801 0.077
H27 0.786 0.158 0.185
H28 0.786 0.342 0.685
H29 0.807 0.077 0.946
H30 0.807 0.423 0.446
H31 0.818 0.624 0.602
H32 0.818 0.876 0.102
H33 0.853 0.716 0.351
H34 0.853 0.784 0.851
H35 0.860 0.733 0.446
H36 0.860 0.767 0.946
H37 0.895 0.107 0.044
H38 0.895 0.393 0.544
H39 0.904 0.244 0.258
H40 0.904 0.256 0.758
Cl1 0.053 0.126 0.455
Cl2 0.053 0.374 0.955
Cl3 0.131 0.595 0.681
Cl4 0.131 0.905 0.181
Cl5 0.237 0.078 0.700
Cl6 0.237 0.422 0.200
Cl7 0.364 0.612 0.928
Cl8 0.364 0.888 0.428
Cl9 0.433 0.155 0.333
Cl10 0.433 0.345 0.833
Cl11 0.567 0.655 0.167
Cl12 0.567 0.845 0.667
Cl13 0.636 0.112 0.572
Cl14 0.636 0.388 0.072
Cl15 0.763 0.578 0.800
Cl16 0.763 0.922 0.300
Cl17 0.869 0.095 0.819
Cl18 0.869 0.405 0.319
Cl19 0.947 0.626 0.045
Cl20 0.947 0.874 0.545
O1 0.074 0.679 0.276
O2 0.074 0.821 0.776
O3 0.154 0.175 0.098
O4 0.154 0.325 0.598
O5 0.233 0.584 0.502
O6 0.233 0.916 0.002
O7 0.320 0.136 0.943
O8 0.320 0.364 0.443
O9 0.468 0.571 0.379
O10 0.468 0.929 0.879
O11 0.532 0.071 0.121
O12 0.532 0.429 0.621
O13 0.680 0.636 0.557
O14 0.680 0.864 0.057
O15 0.767 0.084 0.998
O16 0.767 0.416 0.498
O17 0.846 0.675 0.402
O18 0.846 0.825 0.902
O19 0.926 0.179 0.224
O20 0.926 0.321 0.724
```

Record 2
## Ba2AlMo3O8 (GGA+U)

Data for a geometry-optimized Ba2AlMo3O8 structure.

Values from the calculation:
- DFT formation energy: -2.21 eV per atom
- M_tot: 9.0 μB/cell
- Density: 5.77 g/cm3

```
data_Ba2AlMo3O8
_chemical_formula_sum 'Ba2 Al1 Mo3 O8'
_space_group_name_H-M_alt 'P 1'
_space_group_IT_number 1
_space_group_name_Hall 'P 1'
_cell_length_a 11.706
_cell_length_b 4.200
_cell_length_c 4.200
_cell_angle_alpha 88.94
_cell_angle_beta 90.00
_cell_angle_gamma 90.00
loop_
_atom_site_label
_atom_site_fract_x
_atom_site_fract_y
_atom_site_fract_z
Ba1 0.178 0.000 0.000
Ba2 0.822 0.000 0.000
Al1 0.500 0.138 0.138
Mo1 0.000 0.496 0.496
Mo2 0.363 0.492 0.492
Mo3 0.637 0.492 0.492
O1 0.000 0.491 0.997
O2 0.000 0.997 0.491
O3 0.181 0.498 0.498
O4 0.384 0.407 0.982
O5 0.384 0.982 0.407
O6 0.616 0.407 0.982
O7 0.616 0.982 0.407
O8 0.819 0.498 0.498
```

Record 3
## Mn12O7F17 (GGA+U)

Data for a geometry-optimized Mn12O7F17 structure.

Values from the calculation:
- DFT formation energy: -2.55 eV per atom
- M_tot: 53.0 μB/cell
- Density: 4.12 g/cm3
- Relative energy among the computed polymorphs: 28 meV per atom

```
data_Mn12O7F17
_chemical_formula_sum 'Mn12 O7 F17'
_space_group_name_H-M_alt 'P 1'
_space_group_IT_number 1
_space_group_name_Hall 'P 1'
_cell_length_a 4.800
_cell_length_b 5.825
_cell_length_c 15.795
_cell_angle_alpha 88.57
_cell_angle_beta 89.62
_cell_angle_gamma 88.86
loop_
_atom_site_label
_atom_site_fract_x
_atom_site_fract_y
_atom_site_fract_z
Mn1 0.000 0.000 0.000
Mn2 0.001 0.020 0.347
Mn3 0.005 0.007 0.677
Mn4 0.018 0.329 0.176
Mn5 0.452 0.840 0.513
Mn6 0.457 0.482 0.339
Mn7 0.463 0.520 0.015
Mn8 0.487 0.816 0.175
Mn9 0.500 0.511 0.680
Mn10 0.507 0.832 0.853
Mn11 0.967 0.305 0.837
Mn12 0.995 0.319 0.509
O1 0.199 0.062 0.456
O2 0.207 0.258 0.285
O3 0.266 0.788 0.624
O4 0.281 0.548 0.123
O5 0.282 0.788 0.958
O6 0.787 0.266 0.730
O7 0.791 0.046 0.896
F1 0.212 0.293 0.943
F2 0.221 0.050 0.108
F3 0.239 0.284 0.617
F4 0.244 0.564 0.452
F5 0.247 0.039 0.780
F6 0.249 0.770 0.286
F7 0.251 0.540 0.793
F8 0.704 0.807 0.402
F9 0.711 0.536 0.909
F10 0.719 0.558 0.560
F11 0.732 0.767 0.743
F12 0.733 0.553 0.237
F13 0.741 0.289 0.405
F14 0.743 0.783 0.069
F15 0.762 0.050 0.573
F16 0.766 0.047 0.231
F17 0.767 0.284 0.064
```

Record 4
## Li9Mn2Co5O16 (GGA+U)

Data for a geometry-optimized Li9Mn2Co5O16 structure.

Values from the calculation:
- DFT formation energy: -1.81 eV per atom
- M_tot: 12.0 μB/cell
- Density: 4.21 g/cm3
- Relative energy among the computed polymorphs: 56 meV per atom

```
data_Li9Mn2Co5O16
_chemical_formula_sum 'Li9 Mn2 Co5 O16'
_space_group_name_H-M_alt 'P 1'
_space_group_IT_number 1
_space_group_name_Hall 'P 1'
_cell_length_a 7.718
_cell_length_b 7.718
_cell_length_c 5.200
_cell_angle_alpha 104.86
_cell_angle_beta 104.86
_cell_angle_gamma 95.45
loop_
_atom_site_label
_atom_site_fract_x
_atom_site_fract_y
_atom_site_fract_z
Li1 0.000 0.000 0.000
Li2 0.114 0.368 0.998
Li3 0.238 0.237 0.479
Li4 0.365 0.119 0.002
Li5 0.498 0.006 0.501
Li6 0.632 0.886 0.002
Li7 0.763 0.762 0.521
Li8 0.881 0.635 0.998
Li9 0.994 0.502 0.499
Mn1 0.372 0.628 0.500
Mn2 0.500 0.500 0.000
Co1 0.118 0.882 0.500
Co2 0.243 0.757 0.000
Co3 0.624 0.376 0.500
Co4 0.751 0.249 0.000
Co5 0.871 0.129 0.500
O1 0.020 0.756 0.760
O2 0.109 0.127 0.719
O3 0.134 0.626 0.271
O4 0.244 0.980 0.240
O5 0.271 0.525 0.750
O6 0.374 0.866 0.729
O7 0.379 0.385 0.279
O8 0.475 0.729 0.250
O9 0.515 0.263 0.771
O10 0.615 0.621 0.721
O11 0.635 0.138 0.281
O12 0.737 0.485 0.229
O13 0.764 0.032 0.743
O14 0.862 0.365 0.719
O15 0.873 0.891 0.281
O16 0.968 0.236 0.257
```

Record 5
## Mn3Co5O16 (GGA+U)

Data for a geometry-optimized Mn3Co5O16 structure.

Values from the calculation:
- DFT formation energy: -1.30 eV per atom
- M_tot: 14.0 μB/cell
- Density: 4.94 g/cm3

```
data_Mn3Co5O16
_chemical_formula_sum 'Mn3 Co5 O16'
_space_group_name_H-M_alt 'P 1'
_space_group_IT_number 1
_space_group_name_Hall 'P 1'
_cell_length_a 5.668
_cell_length_b 5.668
_cell_length_c 8.611
_cell_angle_alpha 90.65
_cell_angle_beta 90.65
_cell_angle_gamma 60.32
loop_
_atom_site_label
_atom_site_fract_x
_atom_site_fract_y
_atom_site_fract_z
Mn1 0.000 0.000 0.000
Mn2 0.336 0.832 0.500
Mn3 0.832 0.336 0.500
Co1 0.335 0.335 0.495
Co2 0.501 0.501 0.775
Co3 0.504 0.999 0.996
Co4 0.835 0.835 0.273
Co5 0.999 0.504 0.996
O1 0.005 0.503 0.390
O2 0.126 0.683 0.131
O3 0.169 0.169 0.609
O4 0.171 0.171 0.108
O5 0.211 0.640 0.631
O6 0.334 0.334 0.893
O7 0.340 0.831 0.891
O8 0.500 0.500 0.385
O9 0.503 0.005 0.390
O10 0.640 0.211 0.631
O11 0.647 0.647 0.636
O12 0.683 0.126 0.131
O13 0.690 0.690 0.127
O14 0.831 0.340 0.891
O15 0.832 0.832 0.886
O16 0.996 0.996 0.388
```

Record 6
## Fe8O9 (GGA+U)

Data for a geometry-optimized Fe8O9 structure.

Values from the calculation:
- DFT formation energy: -1.49 eV per atom
- M_tot: 34.0 μB/cell
- Density: 5.33 g/cm3
- Relative energy among the computed polymorphs: 13 meV per atom

```
data_Fe8O9
_chemical_formula_sum 'Fe8 O9'
_space_group_name_H-M_alt 'P 1'
_space_group_IT_number 1
_space_group_name_Hall 'P 1'
_cell_length_a 5.311
_cell_length_b 5.353
_cell_length_c 6.829
_cell_angle_alpha 82.15
_cell_angle_beta 74.67
_cell_angle_gamma 80.75
loop_
_atom_site_label
_atom_site_fract_x
_atom_site_fract_y
_atom_site_fract_z
Fe1 0.050 0.108 0.286
Fe2 0.176 0.318 0.830
Fe3 0.290 0.551 0.382
Fe4 0.391 0.790 0.924
Fe5 0.609 0.210 0.076
Fe6 0.710 0.449 0.618
Fe7 0.824 0.682 0.170
Fe8 0.950 0.892 0.714
O1 0.000 0.000 0.000
O2 0.086 0.256 0.557
O3 0.228 0.451 0.112
O4 0.334 0.647 0.656
O5 0.423 0.880 0.216
O6 0.577 0.120 0.784
O7 0.666 0.353 0.344
O8 0.772 0.549 0.888
O9 0.914 0.744 0.443
```